Entry from the Materials Project: a relaxed structure of HfO2 (PBE).

Results
Space group: Pbca
Energy of formation (eV/atom): -3.9957

Cell and atoms, written as POSCAR:
```
HfO2
1.0
5.0857 0.0000 0.0000
0.0000 5.2484 0.0000
0.0000 0.0000 10.0588
Hf O
8 16
Direct
0.7540 0.4643 0.1156 Hf
0.2540 0.5357 0.3844 Hf
0.7460 0.9643 0.8844 Hf
0.2460 0.0357 0.6156 Hf
0.2460 0.5357 0.8844 Hf
0.7460 0.4643 0.6156 Hf
0.2540 0.0357 0.1156 Hf
0.7540 0.9643 0.3844 Hf
0.9976 0.2614 0.4775 O
0.4976 0.7386 0.0225 O
0.5024 0.7614 0.5225 O
0.0024 0.2386 0.9775 O
0.0024 0.7386 0.5225 O
0.5024 0.2614 0.9775 O
0.4976 0.2386 0.4775 O
0.9976 0.7614 0.0225 O
0.6243 0.6274 0.2891 O
0.1243 0.3726 0.2109 O
0.8757 0.1274 0.7109 O
0.3757 0.8726 0.7891 O
0.3757 0.3726 0.7109 O
0.8757 0.6274 0.7891 O
0.1243 0.8726 0.2891 O
0.6243 0.1274 0.2109 O
```

=====

Entry from the Materials Project: a relaxed structure of UNbO5 (PBE).

Results
Space group: Pcca
Energy of formation (eV/atom): -3.3831

Cell and atoms, written as POSCAR:
```
UNbO5
1.0
-0.1687 -3.2057 2.6286
12.4463 -2.8338 -2.6572
2.2230 4.4924 5.6215
U Nb O
4 4 20
Direct
0.0000 0.2281 0.7500 U
0.0000 0.2719 0.2500 U
0.0000 0.7281 0.7500 U
0.0000 0.7719 0.2500 U
0.0833 0.0000 0.5000 Nb
0.0833 0.5000 0.0000 Nb
0.9167 0.0000 0.0000 Nb
0.9167 0.5000 0.5000 Nb
0.9882 0.1531 0.0471 O
0.0118 0.1531 0.4529 O
0.0000 0.4561 0.2500 O
0.9882 0.3469 0.5471 O
0.0118 0.6531 0.0471 O
0.0118 0.3469 0.9529 O
0.9882 0.6531 0.4529 O
0.0000 0.5439 0.7500 O
0.0000 0.9561 0.2500 O
0.0118 0.8469 0.5471 O
0.5151 0.0000 0.5000 O
0.4849 0.5000 0.5000 O
0.5000 0.2247 0.7500 O
0.5000 0.2753 0.2500 O
0.4849 0.0000 0.0000 O
0.5000 0.7247 0.7500 O
0.5000 0.7753 0.2500 O
0.5151 0.5000 0.0000 O
0.0000 0.0439 0.7500 O
0.9882 0.8469 0.9529 O
```

=====

Entry from the Materials Project: a relaxed structure of NaBi12O20 (PBE).

Results
Space group: I23
Energy of formation (eV/atom): -1.5445

Cell and atoms, written as POSCAR:
```
NaBi12O20
1.0
-6.2955 3.4674 5.2592
-2.7467 0.2329 -8.4686
1.5466 -8.4392 2.3882
Na Bi O
1 12 20
Direct
0.0000 0.0000 0.0000 Na
0.8281 0.3168 0.1411 Bi
0.4887 0.1719 0.3129 Bi
0.8589 0.1758 0.6871 Bi
0.3129 0.4887 0.1719 Bi
0.6871 0.8589 0.1758 Bi
0.8242 0.6832 0.5113 Bi
0.1719 0.3129 0.4887 Bi
0.6832 0.5113 0.8242 Bi
0.3168 0.1411 0.8281 Bi
0.5113 0.8242 0.6832 Bi
0.1411 0.8281 0.3168 Bi
0.1758 0.6871 0.8589 Bi
0.3446 0.0000 0.0000 O
0.7335 0.1092 0.3646 O
0.8908 0.6244 0.2555 O
0.6311 0.3756 0.2665 O
0.2745 0.2745 0.2745 O
0.7255 0.0000 0.0000 O
0.7445 0.3689 0.6354 O
0.0000 0.3446 0.0000 O
0.3756 0.2665 0.6311 O
0.6244 0.2555 0.8908 O
0.3646 0.7335 0.1092 O
0.6354 0.7445 0.3689 O
0.6554 0.6554 0.6554 O
0.2665 0.6311 0.3756 O
0.0000 0.0000 0.7255 O
0.0000 0.7255 0.0000 O
0.1092 0.3646 0.7335 O
0.3689 0.6354 0.7445 O
0.2555 0.8908 0.6244 O
0.0000 0.0000 0.3446 O
```